Entry 1:
Here is a geometry-optimized Li2CuP4O12 structure from the Materials Project. Energies are from GGA-PBE.

Structure (extended XYZ):
```
19
Lattice="4.925 0.000 0.000 -2.455 6.685 0.000 -1.066 -3.113 6.834" Properties=species:S:1:pos:R:3 pbc="T T T"
Li 0.160 0.201 3.046
Li 1.244 3.371 3.789
Cu 0.000 0.000 0.000
P -0.409 4.752 1.463
P -1.516 1.548 5.355
P 2.920 2.024 1.480
P 1.813 -1.179 5.371
O 4.003 0.958 1.428
O -0.452 1.664 4.324
O -2.599 2.615 5.407
O 2.224 2.105 0.015
O -0.820 1.467 6.820
O -1.357 5.942 1.415
O 1.857 1.908 2.510
O 0.717 -1.202 4.373
O 2.761 -2.369 5.419
O -1.318 3.455 1.629
O 2.722 0.118 5.206
O 0.687 4.775 2.461
```

Output
space group	P-1
DFT formation energy	-2.46	eV per atom
excess energy over the best structure of this formula in the dataset	3	meV/atom


Entry 2:
Here is a geometry-optimized TiSb structure from the Materials Project. Energies are from GGA-PBE.

Structure (extended XYZ):
```
4
Lattice="2.028 -3.513 0.000 2.028 3.513 0.000 0.000 0.000 6.231" Properties=species:S:1:pos:R:3 pbc="T T T"
Ti 0.000 0.000 0.000
Ti 0.000 0.000 3.115
Sb 2.028 1.171 1.558
Sb 2.028 -1.171 4.673
```

Output
space group	P6_3/mmc
DFT formation energy	-0.56	eV per atom


Entry 3:
Here is a geometry-optimized LiB3O5 structure from the Materials Project. Energies are from GGA-PBE.

Structure (extended XYZ):
```
36
Lattice="5.258 0.000 0.000 0.000 7.424 0.000 0.000 0.000 8.519" Properties=species:S:1:pos:R:3 pbc="T T T"
Li 0.073 3.200 3.574
Li 2.702 4.224 4.945
Li 0.073 0.512 7.833
Li 2.702 6.913 0.686
B 3.378 1.219 4.335
B 0.749 6.205 4.183
B 3.378 2.493 0.076
B 0.749 4.931 8.442
B 2.365 6.986 5.899
B 4.994 0.438 2.620
B 2.365 4.150 1.639
B 4.994 3.274 6.879
B 1.414 1.834 5.615
B 4.043 5.591 2.904
B 1.414 1.878 1.356
B 4.043 5.546 7.163
O 3.397 0.021 4.967
O 0.768 7.403 3.552
O 3.397 3.691 0.707
O 0.768 3.734 7.811
O 4.213 1.530 3.287
O 1.583 5.894 5.231
O 4.213 2.182 7.546
O 1.583 5.242 0.972
O 2.463 2.207 4.757
O 5.092 5.217 3.761
O 2.463 1.505 0.498
O 5.092 5.920 8.020
O 1.425 0.654 6.305
O 4.054 6.770 2.213
O 1.425 3.058 2.046
O 4.054 4.367 6.472
O 0.397 2.759 5.666
O 3.027 4.665 2.853
O 0.397 0.953 1.406
O 3.027 6.471 7.112
```

Output
space group	Pna2_1
DFT formation energy	-2.81	eV per atom
excess energy over the best structure of this formula in the dataset	0	meV/atom


Record-wise total DFT energy (no corrections) values, in eV/atom: -6.712, -6.472, -7.617